Entry from Materials Project: an optimized crystal structure of Na2GeS6O21 (PBE).

Energy of formation   -1.86 eV/atom
Total moment   0.0000 μB/atom
Symmetry   P2_12_12_1

a = 9.894 Å, b = 12.923 Å, c = 14.858 Å
α = 90.00°, β = 90.00°, γ = 90.00°
Positions (direct):
Na 0.060 0.198 0.460
Na 0.115 0.817 0.384
Na 0.385 0.183 0.884
Na 0.440 0.802 0.960
Na 0.560 0.302 0.540
Na 0.615 0.683 0.616
Na 0.885 0.317 0.116
Na 0.940 0.698 0.040
Ge 0.067 0.533 0.723
Ge 0.433 0.467 0.223
Ge 0.567 0.967 0.277
Ge 0.933 0.033 0.777
S 0.020 0.968 0.586
S 0.028 0.115 0.962
S 0.116 0.908 0.917
S 0.152 0.380 0.274
S 0.166 0.597 0.224
S 0.199 0.106 0.680
S 0.301 0.894 0.180
S 0.334 0.403 0.724
S 0.348 0.620 0.774
S 0.384 0.092 0.417
S 0.472 0.885 0.462
S 0.480 0.032 0.086
S 0.520 0.532 0.414
S 0.528 0.385 0.038
S 0.616 0.592 0.083
S 0.652 0.120 0.726
S 0.666 0.903 0.776
S 0.699 0.394 0.320
S 0.801 0.606 0.820
S 0.834 0.097 0.276
S 0.848 0.880 0.226
S 0.884 0.408 0.583
S 0.972 0.615 0.538
S 0.980 0.468 0.914
O 0.029 0.558 0.959
O 0.034 0.657 0.460
O 0.040 0.874 0.538
O 0.042 0.990 0.987
O 0.058 0.811 0.943
O 0.059 0.605 0.160
O 0.061 0.446 0.828
O 0.065 0.126 0.729
O 0.069 0.943 0.825
O 0.075 0.612 0.615
O 0.097 0.357 0.187
O 0.100 0.329 0.352
O 0.125 0.503 0.297
O 0.158 0.151 0.933
O 0.172 0.994 0.628
O 0.192 0.918 0.240
O 0.194 0.627 0.775
O 0.194 0.682 0.283
O 0.208 0.446 0.677
O 0.217 0.183 0.612
O 0.241 0.080 0.424
O 0.259 0.920 0.924
O 0.283 0.817 0.112
O 0.292 0.554 0.177
O 0.306 0.318 0.783
O 0.306 0.373 0.275
O 0.308 0.082 0.740
O 0.328 0.006 0.128
O 0.342 0.849 0.433
O 0.375 0.497 0.797
O 0.400 0.671 0.852
O 0.403 0.643 0.687
O 0.425 0.388 0.115
O 0.431 0.057 0.325
O 0.435 0.874 0.229
O 0.439 0.554 0.328
O 0.441 0.395 0.660
O 0.442 0.189 0.443
O 0.458 0.010 0.487
O 0.460 0.126 0.038
O 0.466 0.343 0.960
O 0.471 0.442 0.459
O 0.529 0.942 0.041
O 0.534 0.843 0.540
O 0.540 0.626 0.462
O 0.542 0.510 0.013
O 0.558 0.689 0.057
O 0.559 0.895 0.840
O 0.561 0.054 0.172
O 0.565 0.374 0.271
O 0.569 0.557 0.175
O 0.575 0.888 0.385
O 0.597 0.143 0.813
O 0.600 0.171 0.648
O 0.625 0.997 0.703
O 0.658 0.349 0.067
O 0.672 0.506 0.372
O 0.692 0.582 0.760
O 0.694 0.818 0.717
O 0.694 0.873 0.225
O 0.708 0.054 0.323
O 0.717 0.317 0.388
O 0.741 0.420 0.576
O 0.759 0.580 0.076
O 0.783 0.683 0.888
O 0.792 0.946 0.823
O 0.806 0.127 0.725
O 0.806 0.182 0.217
O 0.808 0.418 0.260
O 0.828 0.494 0.872
O 0.842 0.651 0.567
O 0.875 0.003 0.203
O 0.900 0.829 0.148
O 0.903 0.857 0.313
O 0.925 0.112 0.885
O 0.931 0.443 0.675
O 0.935 0.626 0.771
O 0.939 0.946 0.672
O 0.941 0.105 0.340
O 0.942 0.311 0.557
O 0.958 0.490 0.513
O 0.960 0.374 0.962
O 0.966 0.157 0.040
O 0.971 0.058 0.541


Entry from Materials Project: an optimized crystal structure of Na5Sc3Si3GeS3O24 (PBE).

Energy of formation   -2.67 eV/atom
Total moment   0.0000 μB/atom
Symmetry   P1

a = 8.947 Å, b = 8.962 Å, c = 22.582 Å
α = 88.77°, β = 88.48°, γ = 60.46°
Positions (direct):
Na 0.000 0.000 0.000
Na 0.004 0.306 0.426
Na 0.027 0.935 0.680
Na 0.308 0.964 0.840
Na 0.333 0.624 0.757
Na 0.347 0.999 0.510
Na 0.353 0.604 0.264
Na 0.361 0.268 0.014
Na 0.385 0.942 0.169
Na 0.647 0.300 0.177
Na 0.666 0.663 0.668
Na 0.683 0.958 0.090
Na 0.692 0.952 0.592
Na 0.726 0.270 0.504
Na 0.995 0.305 0.923
Sc 0.022 0.300 0.283
Sc 0.025 0.307 0.573
Sc 0.029 0.292 0.774
Sc 0.032 0.292 0.071
Sc 0.358 0.636 0.907
Sc 0.366 0.629 0.406
Sc 0.367 0.618 0.106
Sc 0.680 0.979 0.242
Sc 0.702 0.955 0.737
Si 0.039 0.585 0.673
Si 0.061 0.924 0.506
Si 0.314 0.303 0.175
Si 0.321 0.003 0.673
Si 0.370 0.922 0.006
Si 0.645 0.638 0.507
Si 0.655 0.334 0.006
Si 0.688 0.253 0.344
Si 0.980 0.965 0.842
Ge 0.327 0.675 0.609
Ge 0.679 0.989 0.943
Ge 0.725 0.944 0.446
S 0.025 0.001 0.175
S 0.056 0.638 0.008
S 0.360 0.341 0.509
S 0.396 0.966 0.343
S 0.400 0.255 0.843
S 0.694 0.675 0.844
S 0.723 0.304 0.674
S 0.733 0.590 0.176
S 0.976 0.677 0.343
O 0.002 0.136 0.842
O 0.034 0.116 0.512
O 0.038 0.484 0.015
O 0.043 0.089 0.227
O 0.062 0.471 0.732
O 0.137 0.816 0.569
O 0.139 0.664 0.060
O 0.145 0.664 0.347
O 0.163 0.608 0.955
O 0.172 0.795 0.847
O 0.183 0.833 0.170
O 0.186 0.828 0.452
O 0.194 0.314 0.232
O 0.199 0.079 0.732
O 0.203 0.118 0.012
O 0.208 0.316 0.513
O 0.215 0.603 0.663
O 0.224 0.122 0.339
O 0.230 0.264 0.841
O 0.231 0.111 0.614
O 0.233 0.272 0.115
O 0.321 0.842 0.950
O 0.336 0.806 0.669
O 0.338 0.439 0.454
O 0.344 0.469 0.172
O 0.376 0.812 0.345
O 0.383 0.425 0.848
O 0.386 0.424 0.561
O 0.396 0.813 0.067
O 0.475 0.148 0.900
O 0.480 0.983 0.396
O 0.497 0.946 0.288
O 0.507 0.166 0.791
O 0.508 0.125 0.178
O 0.513 0.680 0.568
O 0.515 0.438 0.348
O 0.516 0.165 0.506
O 0.516 0.966 0.680
O 0.534 0.661 0.848
O 0.536 0.406 0.067
O 0.545 0.943 0.994
O 0.552 0.451 0.951
O 0.555 0.461 0.669
O 0.556 0.610 0.172
O 0.560 0.597 0.453
O 0.650 0.825 0.497
O 0.669 0.777 0.788
O 0.671 0.137 0.000
O 0.672 0.166 0.283
O 0.704 0.150 0.682
O 0.710 0.764 0.896
O 0.711 0.764 0.180
O 0.712 0.121 0.404
O 0.809 0.328 0.726
O 0.809 0.482 0.229
O 0.830 0.272 0.620
O 0.831 0.471 0.516
O 0.833 0.508 0.122
O 0.846 0.503 0.840
O 0.849 0.300 0.013
O 0.857 0.983 0.904
O 0.862 0.268 0.341
O 0.864 0.944 0.503
O 0.868 0.751 0.399
O 0.871 0.979 0.181
O 0.874 0.782 0.679
O 0.885 0.794 0.004
O 0.888 0.950 0.784
O 0.889 0.781 0.291
O 0.984 0.506 0.619
O 0.992 0.505 0.340
O 0.995 0.107 0.121


Entry from Materials Project: an optimized crystal structure of Na4Sc2Si3Ge2S3O24 (PBE).

Energy of formation   -2.51 eV/atom
Total moment   0.0000 μB/atom
Symmetry   P1

a = 8.834 Å, b = 8.863 Å, c = 22.456 Å
α = 88.66°, β = 89.81°, γ = 60.53°
Positions (direct):
Na 0.000 0.000 0.000
Na 0.004 0.993 0.493
Na 0.036 0.665 0.083
Na 0.307 0.671 0.573
Na 0.335 0.330 0.165
Na 0.349 0.329 0.656
Na 0.370 0.010 0.737
Na 0.645 0.997 0.250
Na 0.678 0.679 0.334
Na 0.685 0.664 0.829
Na 0.696 0.337 0.419
Na 0.972 0.342 0.911
Sc 0.008 0.990 0.352
Sc 0.336 0.338 0.020
Sc 0.347 0.333 0.517
Sc 0.679 0.666 0.681
Sc 0.685 0.673 0.183
Sc 0.998 0.005 0.849
Si 0.006 0.307 0.751
Si 0.023 0.703 0.248
Si 0.037 0.639 0.918
Si 0.338 0.636 0.417
Si 0.377 0.970 0.585
Si 0.618 0.048 0.412
Si 0.673 0.393 0.577
Si 0.677 0.970 0.084
Si 0.964 0.366 0.083
Ge 0.003 0.063 0.636
Ge 0.302 0.366 0.814
Ge 0.330 0.363 0.322
Ge 0.625 0.701 0.478
Ge 0.712 0.666 0.990
Ge 0.995 0.007 0.146
S 0.044 0.350 0.411
S 0.288 0.011 0.244
S 0.294 0.707 0.749
S 0.348 0.043 0.912
S 0.389 0.680 0.077
S 0.616 0.349 0.910
S 0.710 0.018 0.745
S 0.711 0.295 0.246
S 0.957 0.686 0.579
O 0.011 0.831 0.909
O 0.019 0.197 0.404
O 0.050 0.797 0.184
O 0.052 0.170 0.693
O 0.122 0.506 0.859
O 0.129 0.374 0.355
O 0.131 0.530 0.576
O 0.148 0.322 0.464
O 0.151 0.547 0.976
O 0.152 0.356 0.076
O 0.180 0.034 0.188
O 0.182 0.831 0.409
O 0.186 0.030 0.908
O 0.186 0.967 0.589
O 0.197 0.776 0.693
O 0.198 0.309 0.754
O 0.201 0.507 0.258
O 0.202 0.001 0.298
O 0.205 0.815 0.800
O 0.212 0.837 0.078
O 0.307 0.556 0.477
O 0.315 0.164 0.243
O 0.316 0.526 0.757
O 0.321 0.156 0.963
O 0.335 0.166 0.577
O 0.364 0.527 0.073
O 0.373 0.125 0.855
O 0.385 0.503 0.360
O 0.459 0.838 0.528
O 0.462 0.851 0.241
O 0.469 0.693 0.748
O 0.477 0.704 0.022
O 0.481 0.887 0.647
O 0.485 0.659 0.132
O 0.494 0.143 0.349
O 0.501 0.371 0.576
O 0.502 0.870 0.918
O 0.509 0.368 0.854
O 0.519 0.160 0.072
O 0.527 0.638 0.418
O 0.532 0.173 0.467
O 0.534 0.176 0.749
O 0.539 0.323 0.964
O 0.541 0.299 0.249
O 0.634 0.508 0.911
O 0.641 0.891 0.144
O 0.643 0.850 0.423
O 0.651 0.502 0.636
O 0.682 0.471 0.237
O 0.684 0.864 0.744
O 0.706 0.484 0.516
O 0.725 0.833 0.026
O 0.796 0.196 0.906
O 0.797 0.036 0.691
O 0.798 0.181 0.193
O 0.805 0.040 0.405
O 0.813 0.994 0.800
O 0.814 0.222 0.300
O 0.842 0.644 0.922
O 0.843 0.497 0.745
O 0.846 0.687 0.243
O 0.847 0.449 0.018
O 0.849 0.196 0.582
O 0.849 0.712 0.526
O 0.866 0.967 0.088
O 0.867 0.505 0.133
O 0.872 0.507 0.412
O 0.879 0.663 0.635
O 0.979 0.838 0.300
O 0.980 0.842 0.584
O 0.984 0.173 0.092
O 0.994 0.211 0.811